Below is Zn3Fe9P8O32 after structural relaxation, with properties calculated at the PBE with a Hubbard U level.

Unit cell a=6.1280 b=9.6599 c=10.5707 alpha=89.75 beta=89.82 gamma=89.81
Closest atoms and distances in Å follow each position.
Atoms (fractional coordinates):
Zn  0.0000  0.0000  0.0000  6 O 2.12-2.18
Zn  0.9997  0.2500  0.5000  6 O 2.14-2.17
Zn  0.0003  0.7500  0.5000  6 O 2.14-2.17
Fe  0.0000  0.5000  0.0000  6 O 2.13-2.20
Fe  0.2635  0.2580  0.7827  5 O 2.09-2.20
Fe  0.2644  0.4911  0.2827  5 O 2.08-2.22
Fe  0.2639  0.9902  0.2829  5 O 2.08-2.21
Fe  0.2647  0.7593  0.7826  5 O 2.08-2.20
Fe  0.7353  0.2407  0.2174  5 O 2.08-2.20
Fe  0.7361  0.0098  0.7171  5 O 2.08-2.21
Fe  0.7356  0.5089  0.7173  5 O 2.08-2.22
Fe  0.7365  0.7420  0.2173  5 O 2.09-2.20
P  0.2378  0.0349  0.5992  4 O 1.54-1.60
P  0.2381  0.2141  0.0997  4 O 1.54-1.60
P  0.2376  0.5351  0.5997  4 O 1.55-1.60
P  0.2383  0.7157  0.0999  4 O 1.55-1.59
P  0.7617  0.2843  0.9001  4 O 1.55-1.59
P  0.7624  0.4649  0.4003  4 O 1.55-1.60
P  0.7619  0.7859  0.9003  4 O 1.54-1.60
P  0.7622  0.9651  0.4008  4 O 1.54-1.60
O  0.0279  0.6095  0.6595  1 P 1.60
O  0.0286  0.1097  0.6591  1 P 1.60
O  0.0289  0.1400  0.1598  1 P 1.60
O  0.0296  0.6421  0.1602  1 P 1.59
O  0.2216  0.3735  0.1042  1 P 1.54
O  0.2223  0.8756  0.1047  1 P 1.55
O  0.2230  0.3754  0.6049  1 P 1.55
O  0.2225  0.8755  0.6046  1 P 1.54
O  0.2453  0.0927  0.4619  1 P 1.55
O  0.2451  0.5927  0.4623  1 P 1.55
O  0.2459  0.1577  0.9623  1 P 1.55
O  0.2464  0.6596  0.9628  1 P 1.55
O  0.4271  0.5902  0.6819  1 P 1.55
O  0.4276  0.0901  0.6812  1 P 1.55
O  0.4280  0.1590  0.1821  1 P 1.55
O  0.4282  0.6596  0.1820  1 P 1.55
O  0.5718  0.3404  0.8180  1 P 1.55
O  0.5720  0.8410  0.8179  1 P 1.55
O  0.5724  0.9099  0.3188  1 P 1.55
O  0.5729  0.4098  0.3181  1 P 1.55
O  0.7536  0.3404  0.0372  1 P 1.55
O  0.7541  0.8423  0.0377  1 P 1.55
O  0.7549  0.4073  0.5377  1 P 1.55
O  0.7547  0.9073  0.5381  1 P 1.55
O  0.7775  0.1245  0.3954  1 P 1.54
O  0.7770  0.6246  0.3951  1 P 1.55
O  0.7777  0.1244  0.8953  1 P 1.55
O  0.7784  0.6265  0.8958  1 P 1.54
O  0.9704  0.3579  0.8398  1 P 1.59
O  0.9711  0.8600  0.8402  1 P 1.60
O  0.9714  0.8903  0.3409  1 P 1.60
O  0.9721  0.3905  0.3405  1 P 1.60

Total energy: -6.9062 eV per atom
Spin magnetization: 36.0 μB/f.u.
Formation energy: -2.303 eV/atom



Below is ZnFe3P4O14 after structural relaxation, with properties calculated at the PBE with a Hubbard U level.

Unit cell a=7.2604 b=7.7602 c=9.5952 alpha=90.00 beta=110.66 gamma=90.00
Closest atoms and distances in Å follow each position.
Atoms (fractional coordinates):
Zn  0.0000  0.0000  0.0000  4 O 2.19-2.30
Zn  0.0000  0.5000  0.5000  4 O 2.19-2.30
Fe  0.3147  0.1304  0.4857  5 O 2.05-2.17
Fe  0.3147  0.3696  0.9857  5 O 2.05-2.17
Fe  0.5000  0.0000  0.0000  6 O 2.09-2.31
Fe  0.5000  0.5000  0.5000  6 O 2.09-2.31
Fe  0.6853  0.6304  0.0143  5 O 2.05-2.17
Fe  0.6853  0.8696  0.5143  5 O 2.05-2.17
P  0.0790  0.0684  0.7069  4 O 1.51-1.62
P  0.0790  0.4316  0.2069  4 O 1.51-1.62
P  0.3637  0.7059  0.1889  4 O 1.53-1.60
P  0.3637  0.7941  0.6889  4 O 1.53-1.60
P  0.6363  0.2059  0.3111  4 O 1.53-1.60
P  0.6363  0.2941  0.8111  4 O 1.53-1.60
P  0.9210  0.5684  0.7931  4 O 1.51-1.62
P  0.9210  0.9316  0.2931  4 O 1.51-1.62
O  0.1323  0.2053  0.6131  1 P 1.53
O  0.1323  0.2947  0.1131  1 P 1.53
O  0.1364  0.5309  0.8262  1 P 1.51
O  0.1364  0.9691  0.3262  1 P 1.51
O  0.1577  0.6166  0.1720  2 P 1.60-1.62
O  0.1577  0.8834  0.6720  2 P 1.60-1.62
O  0.1843  0.1002  0.8798  1 P 1.58
O  0.1843  0.3998  0.3798  1 P 1.58
O  0.3065  0.6210  0.6073  1 P 1.54
O  0.3065  0.8790  0.1073  1 P 1.54
O  0.4684  0.5883  0.1128  1 P 1.53
O  0.4684  0.9117  0.6128  1 P 1.53
O  0.4738  0.7112  0.3594  1 P 1.55
O  0.4738  0.7888  0.8594  1 P 1.55
O  0.5262  0.2112  0.1406  1 P 1.55
O  0.5262  0.2888  0.6406  1 P 1.55
O  0.5316  0.0883  0.3872  1 P 1.53
O  0.5316  0.4117  0.8872  1 P 1.53
O  0.6935  0.1210  0.8927  1 P 1.54
O  0.6935  0.3790  0.3927  1 P 1.54
O  0.8157  0.6002  0.6202  1 P 1.58
O  0.8157  0.8998  0.1202  1 P 1.58
O  0.8423  0.1166  0.3280  2 P 1.60-1.62
O  0.8423  0.3834  0.8280  2 P 1.60-1.62
O  0.8636  0.0309  0.6738  1 P 1.51
O  0.8636  0.4691  0.1738  1 P 1.51
O  0.8677  0.7053  0.8869  1 P 1.53
O  0.8677  0.7947  0.3869  1 P 1.53

Total energy: -6.9334 eV per atom
Spin magnetization: 12.0 μB/f.u.
Formation energy: -2.333 eV/atom



Below is ZnFe2P2O8 after structural relaxation, with properties calculated at the PBE with a Hubbard U level.

Unit cell a=8.6168 b=8.6168 c=17.0557 alpha=117.46 beta=117.46 gamma=34.02
Closest atoms and distances in Å follow each position.
Atoms (fractional coordinates):
Zn  0.1577  0.1577  0.3922  4 O 1.98-2.12
Zn  0.2470  0.4368  0.1060  4 O 1.98-2.12
Zn  0.5632  0.7530  0.8940  4 O 1.98-2.12
Zn  0.8423  0.8423  0.6078  4 O 1.98-2.12
Fe  0.0996  0.0850  0.7162  5 O 2.07-2.18
Fe  0.1520  0.8480  0.5000  4 O 2.00-2.03
Fe  0.2083  0.3001  0.2522  4 O 2.09-2.12
Fe  0.2531  0.7469  0.0000  4 O 2.00-2.05
Fe  0.3039  0.5080  0.7831  5 O 2.07-2.17
Fe  0.4920  0.6961  0.2169  5 O 2.07-2.17
Fe  0.6999  0.7917  0.7478  4 O 2.09-2.12
Fe  0.9150  0.9004  0.2838  5 O 2.07-2.18
P  0.1979  0.2257  0.6087  4 O 1.53-1.57
P  0.2046  0.3674  0.8897  4 O 1.52-1.57
P  0.4763  0.4760  0.6338  4 O 1.52-1.58
P  0.5240  0.5237  0.3662  4 O 1.52-1.58
P  0.6326  0.7954  0.1103  4 O 1.52-1.57
P  0.7743  0.8021  0.3913  4 O 1.53-1.57
P  0.8821  0.0695  0.1345  4 O 1.52-1.57
P  0.9305  0.1179  0.8655  4 O 1.52-1.57
O  0.0413  0.0842  0.9637  1 P 1.52
O  0.0437  0.4930  0.6829  1 P 1.57
O  0.0542  0.1069  0.1933  1 P 1.56
O  0.1041  0.1243  0.6037  1 P 1.57
O  0.1258  0.2941  0.5209  1 P 1.53
O  0.1476  0.0149  0.8309  1 P 1.56
O  0.2582  0.5789  0.6693  1 P 1.57
O  0.2819  0.2962  0.9774  1 P 1.52
O  0.2968  0.4710  0.8953  1 P 1.57
O  0.3509  0.4838  0.3077  1 P 1.58
O  0.3581  0.1050  0.8149  1 P 1.56
O  0.3649  0.5093  0.5356  1 P 1.52
O  0.4063  0.1177  0.1456  1 P 1.56
O  0.4211  0.7418  0.3307  1 P 1.57
O  0.4907  0.6351  0.4644  1 P 1.52
O  0.5070  0.9563  0.3171  1 P 1.57
O  0.5162  0.6491  0.6923  1 P 1.58
O  0.5209  0.0019  0.6456  1 P 1.57
O  0.5290  0.7032  0.1047  1 P 1.57
O  0.5666  0.3628  0.1469  1 P 1.57
O  0.6372  0.4334  0.8531  1 P 1.57
O  0.7038  0.7181  0.0226  1 P 1.52
O  0.7059  0.8742  0.4791  1 P 1.53
O  0.7693  0.1610  0.6467  1 P 1.57
O  0.8390  0.2307  0.3533  1 P 1.57
O  0.8757  0.8959  0.3963  1 P 1.57
O  0.8823  0.5937  0.8544  1 P 1.56
O  0.8931  0.9458  0.8067  1 P 1.56
O  0.8950  0.6419  0.1851  1 P 1.56
O  0.9158  0.9587  0.0363  1 P 1.52
O  0.9851  0.8524  0.1691  1 P 1.56
O  0.9981  0.4791  0.3544  1 P 1.57

Total energy: -6.7742 eV per atom
Spin magnetization: 8.0 μB/f.u.
Formation energy: -2.266 eV/atom



Below is Zn2FeP2O12 after structural relaxation, with properties calculated at the PBE with a Hubbard U level.

Unit cell a=10.0210 b=5.1821 c=10.5494 alpha=90.00 beta=121.69 gamma=90.00
Closest atoms and distances in Å follow each position.
Atoms (fractional coordinates):
Zn  0.0016  0.2403  0.1419  4 O 1.93-2.03
Zn  0.0016  0.2597  0.6419  4 O 1.93-2.03
Zn  0.9984  0.7403  0.3581  4 O 1.93-2.03
Zn  0.9984  0.7597  0.8581  4 O 1.93-2.03
Fe  0.5000  0.0000  0.0000  6 O 1.80-1.92
Fe  0.5000  0.5000  0.5000  6 O 1.80-1.92
P  0.2008  0.2275  0.9997  4 O 1.53-1.59
P  0.2008  0.2725  0.4997  4 O 1.53-1.59
P  0.7992  0.7275  0.5003  4 O 1.53-1.59
P  0.7992  0.7725  0.0003  4 O 1.53-1.59
O  0.1018  0.0852  0.8431  1 P 1.59
O  0.1018  0.4148  0.3431  1 P 1.59
O  0.1601  0.1027  0.1076  1 P 1.54
O  0.1601  0.3973  0.6076  1 P 1.54
O  0.1622  0.5163  0.9814  1 P 1.53
O  0.1622  0.9837  0.4814  1 P 1.53
O  0.3346  0.6723  0.3498  1 Fe 1.82
O  0.3346  0.8277  0.8498  1 Fe 1.82
O  0.3781  0.1851  0.0624  1 P 1.55
O  0.3781  0.3149  0.5624  1 P 1.55
O  0.4847  0.7076  0.0829  1 Fe 1.80
O  0.4847  0.7924  0.5829  1 Fe 1.80
O  0.5153  0.2076  0.4171  1 Fe 1.80
O  0.5153  0.2924  0.9171  1 Fe 1.80
O  0.6219  0.6851  0.4376  1 P 1.55
O  0.6219  0.8149  0.9376  1 P 1.55
O  0.6654  0.1723  0.1502  1 Fe 1.82
O  0.6654  0.3277  0.6502  1 Fe 1.82
O  0.8378  0.0163  0.5186  1 P 1.53
O  0.8378  0.4837  0.0186  1 P 1.53
O  0.8399  0.6027  0.3924  1 P 1.54
O  0.8399  0.8973  0.8924  1 P 1.54
O  0.8982  0.5852  0.6569  1 P 1.59
O  0.8982  0.9148  0.1569  1 P 1.59

Total energy: -5.5832 eV per atom
Spin magnetization: 4.0 μB/f.u.
Formation energy: -1.425 eV/atom